Record 1
First-principles (PBE with a Hubbard U) data for a relaxed Li2TiMn3O8 crystal, as listed in the Materials Project.

Unit cell a=5.792 b=8.867 c=10.432 alpha=114.74 beta=105.73 gamma=90.27
Sites, in units of the cell vectors:
1 Li 0.000 0.000 0.000
2 Li 0.000 0.500 0.500
3 Li 0.169 0.169 0.837
4 Li 0.344 0.334 0.667
5 Li 0.656 0.666 0.333
6 Li 0.831 0.831 0.163
7 Ti 0.162 0.166 0.333
8 Ti 0.500 0.500 0.000
9 Ti 0.838 0.834 0.667
10 Mn 0.000 0.000 0.500
11 Mn 0.000 0.500 0.000
12 Mn 0.168 0.670 0.839
13 Mn 0.332 0.833 0.667
14 Mn 0.337 0.338 0.171
15 Mn 0.500 0.000 0.500
16 Mn 0.663 0.662 0.829
17 Mn 0.668 0.167 0.333
18 Mn 0.832 0.330 0.161
19 O 0.004 0.746 0.523
20 O 0.024 0.256 0.024
21 O 0.147 0.921 0.811
22 O 0.150 0.384 0.311
23 O 0.175 0.949 0.354
24 O 0.182 0.422 0.858
25 O 0.319 0.077 0.642
26 O 0.326 0.549 0.151
27 O 0.339 0.589 0.692
28 O 0.348 0.127 0.188
29 O 0.493 0.209 0.480
30 O 0.493 0.718 0.980
31 O 0.507 0.282 0.020
32 O 0.507 0.791 0.520
33 O 0.652 0.873 0.812
34 O 0.661 0.411 0.308
35 O 0.674 0.451 0.849
36 O 0.681 0.923 0.358
37 O 0.818 0.578 0.142
38 O 0.825 0.051 0.646
39 O 0.850 0.616 0.689
40 O 0.853 0.079 0.189
41 O 0.976 0.744 0.976
42 O 0.996 0.254 0.477

Computed properties:
- Uncorrected energy: -7.213 eV/atom
- Energy above the most stable polymorph in this dataset: 0.058 eV/atom
- Formation enthalpy at 0 K: -2.34 eV per atom
- Spin magnetization: 11.0 μB per formula unit

Record 2
First-principles (PBE with a Hubbard U) data for a relaxed LiAlVO4 crystal, as listed in the Materials Project.

Unit cell a=8.730 b=8.730 c=8.730 alpha=107.54 beta=107.54 gamma=107.54
Sites, in units of the cell vectors:
1 Li 0.019 0.191 0.790
2 Li 0.191 0.790 0.019
3 Li 0.309 0.704 0.480
4 Li 0.480 0.309 0.704
5 Li 0.704 0.480 0.309
6 Li 0.790 0.019 0.191
7 Al 0.154 0.971 0.383
8 Al 0.383 0.154 0.971
9 Al 0.459 0.684 0.863
10 Al 0.684 0.863 0.459
11 Al 0.863 0.459 0.684
12 Al 0.971 0.383 0.154
13 V 0.045 0.817 0.640
14 V 0.120 0.351 0.528
15 V 0.351 0.528 0.120
16 V 0.528 0.120 0.351
17 V 0.640 0.045 0.817
18 V 0.817 0.640 0.045
19 O 0.000 0.347 0.666
20 O 0.167 0.840 0.505
21 O 0.198 0.523 0.226
22 O 0.214 0.932 0.872
23 O 0.226 0.198 0.523
24 O 0.275 0.298 0.965
25 O 0.297 0.580 0.638
26 O 0.298 0.965 0.275
27 O 0.347 0.666 0.000
28 O 0.505 0.167 0.840
29 O 0.523 0.226 0.198
30 O 0.560 0.887 0.588
31 O 0.580 0.638 0.297
32 O 0.588 0.560 0.887
33 O 0.610 0.906 0.937
34 O 0.638 0.297 0.580
35 O 0.666 0.000 0.347
36 O 0.840 0.505 0.167
37 O 0.872 0.214 0.932
38 O 0.887 0.588 0.560
39 O 0.906 0.937 0.610
40 O 0.932 0.872 0.214
41 O 0.937 0.610 0.906
42 O 0.965 0.275 0.298

Computed properties:
- Uncorrected energy: -7.073 eV/atom
- Energy above the most stable polymorph in this dataset: 0.033 eV/atom
- Formation enthalpy at 0 K: -2.78 eV per atom
- Spin magnetization: 1.0 μB per formula unit

Record 3
First-principles (PBE with a Hubbard U) data for a relaxed SbWNO6 crystal, as listed in the Materials Project.

Unit cell a=7.386 b=7.386 c=7.386 alpha=120.57 beta=119.69 gamma=89.78
Sites, in units of the cell vectors:
1 Sb 0.500 0.000 0.000
2 Sb 0.500 0.500 0.500
3 W 0.000 0.000 0.000
4 W 0.500 0.000 0.500
5 N 0.125 0.375 0.750
6 N 0.875 0.625 0.250
7 O 0.182 0.311 0.245
8 O 0.182 0.937 0.872
9 O 0.194 0.944 0.250
10 O 0.425 0.675 0.750
11 O 0.434 0.063 0.745
12 O 0.434 0.689 0.372
13 O 0.566 0.311 0.628
14 O 0.566 0.937 0.255
15 O 0.575 0.325 0.250
16 O 0.806 0.056 0.750
17 O 0.818 0.063 0.128
18 O 0.818 0.689 0.755

Computed properties:
- Uncorrected energy: -6.153 eV/atom
- Formation enthalpy at 0 K: -0.98 eV per atom
- Spin magnetization: 3.8 μB per formula unit

Record 4
First-principles (PBE with a Hubbard U) data for a relaxed Li12CrNi3P4C4O28 crystal, as listed in the Materials Project.

Unit cell a=8.436 b=6.442 c=9.981 alpha=90.00 beta=94.72 gamma=90.00
Sites, in units of the cell vectors:
1 Li 0.000 0.000 0.000
2 Li 0.001 0.000 0.500
3 Li 0.178 0.230 0.261
4 Li 0.178 0.231 0.756
5 Li 0.178 0.769 0.756
6 Li 0.178 0.770 0.261
7 Li 0.627 0.271 0.508
8 Li 0.627 0.729 0.508
9 Li 0.628 0.272 0.008
10 Li 0.628 0.728 0.008
11 Li 0.799 0.500 0.765
12 Li 0.807 0.500 0.268
13 Cr 0.237 0.500 0.991
14 Ni 0.237 0.500 0.486
15 Ni 0.570 0.000 0.779
16 Ni 0.571 0.000 0.281
17 P 0.318 0.000 0.523
18 P 0.319 0.000 0.024
19 P 0.488 0.500 0.741
20 P 0.493 0.500 0.247
21 C 0.863 0.000 0.734
22 C 0.864 0.000 0.234
23 C 0.932 0.500 0.032
24 C 0.943 0.500 0.533
25 O 0.010 0.000 0.203
26 O 0.010 0.000 0.704
27 O 0.049 0.500 0.126
28 O 0.060 0.500 0.627
29 O 0.213 0.186 0.972
30 O 0.213 0.187 0.471
31 O 0.213 0.813 0.471
32 O 0.213 0.814 0.972
33 O 0.322 0.500 0.794
34 O 0.323 0.500 0.295
35 O 0.340 0.000 0.680
36 O 0.342 0.000 0.180
37 O 0.467 0.500 0.584
38 O 0.480 0.500 0.091
39 O 0.484 0.000 0.469
40 O 0.484 0.000 0.968
41 O 0.592 0.313 0.793
42 O 0.592 0.687 0.793
43 O 0.595 0.312 0.302
44 O 0.595 0.688 0.302
45 O 0.747 0.000 0.140
46 O 0.747 0.000 0.640
47 O 0.787 0.500 0.066
48 O 0.797 0.500 0.563
49 O 0.826 0.000 0.858
50 O 0.828 0.000 0.358
51 O 0.962 0.500 0.907
52 O 0.980 0.500 0.409

Computed properties:
- Uncorrected energy: -6.509 eV/atom
- Formation enthalpy at 0 K: -2.31 eV per atom
- Spin magnetization: 10.0 μB per formula unit

Record 5
First-principles (PBE with a Hubbard U) data for a relaxed Na5Ni2PC4O16 crystal, as listed in the Materials Project.

Unit cell a=9.897 b=9.897 c=9.845 alpha=119.76 beta=119.76 gamma=90.64
Sites, in units of the cell vectors:
1 Na 0.088 0.912 0.750
2 Na 0.090 0.345 0.177
3 Na 0.091 0.345 0.757
4 Na 0.345 0.090 0.677
5 Na 0.345 0.091 0.257
6 Na 0.655 0.909 0.743
7 Na 0.655 0.910 0.323
8 Na 0.909 0.655 0.243
9 Na 0.910 0.655 0.823
10 Na 0.912 0.088 0.250
11 Ni 0.000 0.500 0.500
12 Ni 0.500 0.000 0.000
13 Ni 0.500 0.500 0.000
14 Ni 0.500 0.500 0.500
15 P 0.123 0.877 0.250
16 P 0.877 0.123 0.750
17 C 0.282 0.349 0.565
18 C 0.284 0.716 0.568
19 C 0.284 0.716 0.932
20 C 0.349 0.282 0.065
21 C 0.651 0.718 0.935
22 C 0.716 0.284 0.068
23 C 0.716 0.284 0.432
24 C 0.718 0.651 0.435
25 O 0.060 0.685 0.123
26 O 0.061 0.939 0.121
27 O 0.061 0.939 0.379
28 O 0.139 0.694 0.538
29 O 0.140 0.346 0.446
30 O 0.140 0.601 0.794
31 O 0.305 0.346 0.705
32 O 0.306 0.861 0.962
33 O 0.309 0.596 0.456
34 O 0.315 0.940 0.377
35 O 0.346 0.140 0.946
36 O 0.346 0.305 0.205
37 O 0.348 0.398 0.040
38 O 0.398 0.348 0.540
39 O 0.399 0.860 0.706
40 O 0.404 0.691 0.044
41 O 0.596 0.309 0.956
42 O 0.601 0.140 0.294
43 O 0.602 0.652 0.460
44 O 0.652 0.602 0.960
45 O 0.654 0.695 0.795
46 O 0.654 0.860 0.054
47 O 0.685 0.060 0.623
48 O 0.691 0.404 0.544
49 O 0.694 0.139 0.038
50 O 0.695 0.654 0.295
51 O 0.860 0.399 0.206
52 O 0.860 0.654 0.554
53 O 0.861 0.306 0.462
54 O 0.939 0.061 0.621
55 O 0.939 0.061 0.879
56 O 0.940 0.315 0.877

Computed properties:
- Uncorrected energy: -6.339 eV/atom
- Energy above the most stable polymorph in this dataset: 0.000 eV/atom
- Formation enthalpy at 0 K: -1.93 eV per atom
- Spin magnetization: 2.0 μB per formula unit

Record 6
First-principles (PBE with a Hubbard U) data for a relaxed Li2V2F7 crystal, as listed in the Materials Project.

Unit cell a=7.882 b=4.908 c=13.012 alpha=90.00 beta=93.25 gamma=90.00
Sites, in units of the cell vectors:
1 Li 0.016 0.000 0.345
2 Li 0.063 0.978 0.813
3 Li 0.286 0.467 0.234
4 Li 0.440 0.986 0.409
5 Li 0.560 0.486 0.591
6 Li 0.714 0.967 0.766
7 Li 0.937 0.478 0.187
8 Li 0.984 0.500 0.655
9 V 0.171 0.498 0.452
10 V 0.172 0.980 0.042
11 V 0.341 0.974 0.669
12 V 0.428 0.477 0.887
13 V 0.572 0.977 0.113
14 V 0.659 0.474 0.331
15 V 0.828 0.480 0.958
16 V 0.829 0.998 0.548
17 F 0.024 0.213 0.938
18 F 0.057 0.829 0.517
19 F 0.086 0.649 0.306
20 F 0.127 0.234 0.153
21 F 0.156 0.746 0.709
22 F 0.227 0.744 0.924
23 F 0.237 0.163 0.371
24 F 0.252 0.285 0.590
25 F 0.286 0.199 0.793
26 F 0.339 0.763 0.133
27 F 0.387 0.206 0.016
28 F 0.400 0.761 0.540
29 F 0.431 0.641 0.345
30 F 0.488 0.724 0.759
31 F 0.512 0.224 0.241
32 F 0.569 0.141 0.655
33 F 0.600 0.261 0.460
34 F 0.613 0.706 0.984
35 F 0.661 0.263 0.867
36 F 0.714 0.699 0.207
37 F 0.748 0.785 0.410
38 F 0.763 0.663 0.629
39 F 0.773 0.244 0.076
40 F 0.844 0.246 0.291
41 F 0.873 0.734 0.847
42 F 0.914 0.149 0.694
43 F 0.943 0.329 0.483
44 F 0.976 0.713 0.062

Computed properties:
- Uncorrected energy: -5.710 eV/atom
- Energy above the most stable polymorph in this dataset: 0.014 eV/atom
- Formation enthalpy at 0 K: -3.10 eV per atom
- Spin magnetization: 5.0 μB per formula unit

Record 7
First-principles (PBE with a Hubbard U) data for a relaxed SmEuFeSnO6 crystal, as listed in the Materials Project.

Unit cell a=5.678 b=5.678 c=5.678 alpha=60.00 beta=60.00 gamma=60.00
Sites, in units of the cell vectors:
1 Sm 0.000 0.000 0.000
2 Eu 0.500 0.500 0.500
3 Fe 0.750 0.750 0.750
4 Sn 0.250 0.250 0.250
5 O 0.503 0.503 0.997
6 O 0.503 0.997 0.503
7 O 0.503 0.997 0.997
8 O 0.997 0.503 0.503
9 O 0.997 0.503 0.997
10 O 0.997 0.997 0.503

Computed properties:
- Uncorrected energy: -7.617 eV/atom
- Formation enthalpy at 0 K: -2.54 eV per atom
- Spin magnetization: 11.9 μB per formula unit

Record 8
First-principles (PBE with a Hubbard U) data for a relaxed Cs2Tm2MgW4O16 crystal, as listed in the Materials Project.

Unit cell a=7.877 b=7.877 c=7.711 alpha=118.49 beta=118.49 gamma=86.64
Sites, in units of the cell vectors:
1 Cs 0.000 0.000 0.000
2 Cs 0.614 0.386 0.500
3 Tm 0.046 0.954 0.500
4 Tm 0.598 0.402 0.000
5 Mg 0.278 0.722 0.000
6 W 0.114 0.477 0.532
7 W 0.119 0.461 0.042
8 W 0.523 0.886 0.468
9 W 0.539 0.881 0.958
10 O 0.044 0.528 0.783
11 O 0.080 0.218 0.463
12 O 0.161 0.221 0.863
13 O 0.193 0.432 0.320
14 O 0.206 0.787 0.284
15 O 0.213 0.794 0.716
16 O 0.410 0.563 0.808
17 O 0.437 0.590 0.192
18 O 0.472 0.956 0.217
19 O 0.494 0.132 0.641
20 O 0.564 0.143 0.026
21 O 0.568 0.807 0.680
22 O 0.779 0.839 0.137
23 O 0.782 0.920 0.537
24 O 0.857 0.436 0.974
25 O 0.868 0.506 0.359

Computed properties:
- Uncorrected energy: -7.118 eV/atom
- Energy above the most stable polymorph in this dataset: 0.066 eV/atom
- Formation enthalpy at 0 K: -2.53 eV per atom
- Spin magnetization: 2.0 μB per formula unit

Which of these has the lowest uncorrected energy?
SmEuFeSnO6